(1)
VASP calculation (PBE) on U4Ga20Ni11 after structural relaxation.

Computed properties:
**E**: -180.94 eV per formula unit
**Relative energy among the computed polymorphs**: 23 meV/atom
**Magnetization**: 0.2 μB/f.u.
**Formation energy**: -0.332 eV per atom
**Space-group type**: Cm

Cell lengths 10.5730, 10.5730, 15.3220 Å; angles 56.12, 56.12, 22.48 degrees
Fractional positions:
Ga (0.7504, 0.7504, 0.7980)
Ga (0.5429, 0.5429, 0.1227)
Ga (0.6301, 0.6301, 0.3053)
Ga (0.8051, 0.8051, 0.5025)
Ga (0.3758, 0.3758, 0.6935)
Ga (0.9373, 0.9373, 0.2970)
Ga (0.4024, 0.4024, 0.4964)
Ga (0.3010, 0.3010, 0.0013)
Ga (0.6119, 0.6119, 0.8101)
Ga (0.0080, 0.0080, 0.4118)
Ga (0.4571, 0.4571, 0.8773)
Ga (0.1123, 0.1123, 0.9517)
Ga (0.2000, 0.2000, 0.4976)
Ga (0.8927, 0.8927, 0.0493)
Ga (0.0674, 0.0674, 0.7061)
Ga (0.9980, 0.9980, 0.5900)
Ga (0.3923, 0.3923, 0.1922)
Ga (0.2546, 0.2546, 0.2022)
Ga (0.6032, 0.6032, 0.5051)
Ga (0.7041, 0.7041, 0.9999)
Ni (0.4969, 0.4969, 0.6919)
Ni (0.9782, 0.9782, 0.1128)
Ni (0.6588, 0.6588, 0.6138)
Ni (0.5000, 0.5000, 0.0000)
Ni (0.3471, 0.3471, 0.3874)
Ni (0.7555, 0.7555, 0.1140)
Ni (0.2500, 0.2500, 0.8872)
Ni (0.8687, 0.8687, 0.6068)
Ni (0.1359, 0.1359, 0.3940)
Ni (0.5081, 0.5081, 0.3099)
Ni (0.0262, 0.0262, 0.8894)
U (0.2298, 0.2298, 0.6779)
U (0.7748, 0.7748, 0.3229)
U (0.8841, 0.8841, 0.8307)
U (0.1159, 0.1159, 0.1693)

---

(2)
VASP calculation (PBE) on InAu3 after structural relaxation.

Computed properties:
**E**: -13.06 eV per formula unit
**Formation energy**: -0.121 eV per atom
**Space-group type**: Pmmn

Cell lengths 4.8377, 5.4077, 5.8496 Å; angles 90.00, 90.00, 90.00 degrees
Fractional positions:
Au (0.5000, 0.8335, 0.7518)
Au (0.0000, 0.1665, 0.7482)
Au (0.0000, 0.6665, 0.5000)
Au (0.0000, 0.1665, 0.2518)
Au (0.5000, 0.3335, 0.0000)
Au (0.5000, 0.8335, 0.2482)
In (0.5000, 0.3322, 0.5000)
In (0.0000, 0.6678, 0.0000)

---

(3)
VASP calculation (PBE) on NaLiSi2H4O7 after structural relaxation.

Computed properties:
**E**: -91.64 eV per formula unit
**Magnetization**: 0.0 μB/f.u.
**Formation energy**: -2.278 eV per atom
**Energy with MP2020 corrections**: -6.43 eV/atom
**Space-group type**: C2/c

Cell lengths 8.4115, 8.4115, 5.1256 Å; angles 84.22, 84.22, 60.06 degrees
Fractional positions:
Na (0.1461, 0.8539, 0.2500)
Na (0.8539, 0.1461, 0.7500)
Si (0.5895, 0.7839, 0.9464)
Si (0.2161, 0.4105, 0.5536)
Si (0.4105, 0.2161, 0.0536)
Si (0.7839, 0.5895, 0.4464)
O (0.2936, 0.5520, 0.5116)
O (0.5520, 0.2936, 0.0116)
O (0.1954, 0.9778, 0.5991)
O (0.5000, 0.0000, 0.0000)
O (0.2338, 0.3247, 0.8624)
O (0.7064, 0.4480, 0.4884)
O (0.6753, 0.7662, 0.6376)
O (0.8046, 0.0222, 0.4009)
O (0.9778, 0.1954, 0.0991)
O (0.4480, 0.7064, 0.9884)
O (0.0222, 0.8046, 0.9009)
O (0.0000, 0.5000, 0.5000)
O (0.7662, 0.6753, 0.1376)
O (0.3247, 0.2338, 0.3624)
Li (0.5098, 0.4902, 0.2500)
Li (0.4902, 0.5098, 0.7500)
H (0.7476, 0.9487, 0.4751)
H (0.1122, 0.7215, 0.7701)
H (0.9487, 0.7476, 0.9751)
H (0.2524, 0.0513, 0.5249)
H (0.7215, 0.1122, 0.2701)
H (0.2785, 0.8878, 0.7299)
H (0.8878, 0.2785, 0.2299)
H (0.0513, 0.2524, 0.0249)

---

(4)
VASP calculation (PBE) on Na3ZrGaSiP2O12 after structural relaxation.

Computed properties:
**E**: -139.57 eV per formula unit
**Magnetization**: 0.0 μB/f.u.
**Formation energy**: -2.832 eV per atom
**Energy with MP2020 corrections**: -7.39 eV/atom
**Space-group type**: Cc

Cell lengths 9.0128, 9.0128, 22.4148 Å; angles 89.73, 90.27, 120.02 degrees
Fractional positions:
O (0.1482, 0.9704, 0.9081)
O (0.6258, 0.1234, 0.1372)
O (0.6453, 0.1364, 0.4222)
O (0.9703, 0.1736, 0.5890)
O (0.4860, 0.3504, 0.4220)
O (0.1782, 0.0024, 0.5868)
O (0.6861, 0.1752, 0.7458)
O (0.4999, 0.8582, 0.0766)
O (0.5216, 0.8345, 0.7551)
O (0.3155, 0.8464, 0.2553)
O (0.4951, 0.1248, 0.6424)
O (0.5287, 0.6828, 0.2555)
O (0.4606, 0.1476, 0.5234)
O (0.0172, 0.1871, 0.9134)
O (0.1418, 0.5001, 0.5766)
O (0.8129, 0.9828, 0.4134)
O (0.1666, 0.1964, 0.4147)
O (0.7929, 0.8126, 0.1953)
O (0.3553, 0.4790, 0.3596)
O (0.6496, 0.5140, 0.9220)
O (0.5019, 0.1459, 0.9207)
O (0.0271, 0.2036, 0.1925)
O (0.8541, 0.4981, 0.4207)
O (0.0267, 0.8183, 0.6952)
O (0.8524, 0.5394, 0.0234)
O (0.1874, 0.2071, 0.6953)
O (0.4848, 0.3610, 0.1443)
O (0.5210, 0.6447, 0.8596)
O (0.1817, 0.9733, 0.1952)
O (0.1974, 0.1788, 0.0898)
O (0.6870, 0.5214, 0.2455)
O (0.4626, 0.3056, 0.0327)
O (0.1536, 0.6845, 0.7553)
O (0.3585, 0.8723, 0.8582)
O (0.8212, 0.8026, 0.5898)
O (0.1655, 0.4784, 0.2551)
O (0.8248, 0.3139, 0.2458)
O (0.5129, 0.8683, 0.3658)
O (0.5490, 0.8518, 0.4777)
O (0.3574, 0.4998, 0.0785)
O (0.8259, 0.7869, 0.3061)
O (0.2131, 0.1741, 0.8061)
O (0.2911, 0.8389, 0.9759)
O (0.6390, 0.5152, 0.6443)
O (0.9638, 0.7857, 0.8068)
O (0.1572, 0.6421, 0.0789)
O (0.6900, 0.1483, 0.0263)
O (0.9976, 0.8218, 0.0868)
O (0.1482, 0.4510, 0.9777)
O (0.8264, 0.0297, 0.0890)
O (0.1317, 0.4871, 0.8658)
O (0.8752, 0.5049, 0.1424)
O (0.4786, 0.3130, 0.7455)
O (0.3059, 0.4719, 0.4714)
O (0.5281, 0.6941, 0.9714)
O (0.8036, 0.8334, 0.9147)
O (0.8517, 0.3100, 0.5263)
O (0.5002, 0.6426, 0.5785)
O (0.2143, 0.0362, 0.3068)
O (0.4747, 0.1731, 0.2428)
O (0.3172, 0.4713, 0.7555)
O (0.0296, 0.8518, 0.4081)
O (0.6944, 0.5374, 0.5327)
O (0.7964, 0.9729, 0.6925)
O (0.8766, 0.3742, 0.6372)
O (0.8279, 0.0267, 0.8119)
O (0.3579, 0.8428, 0.5789)
O (0.8269, 0.5253, 0.7428)
O (0.1277, 0.6415, 0.3582)
O (0.1611, 0.7089, 0.4759)
O (0.9733, 0.1721, 0.3119)
O (0.8636, 0.3547, 0.9222)
Zr (0.0061, 0.0078, 0.6472)
Zr (0.3318, 0.6677, 0.8139)
Zr (0.3323, 0.6682, 0.3139)
Zr (0.6638, 0.3395, 0.4806)
Zr (0.9922, 0.9939, 0.1472)
Zr (0.6605, 0.3362, 0.9806)
P (0.3283, 0.3769, 0.4182)
P (0.2973, 0.2911, 0.7516)
P (0.6588, 0.0377, 0.0832)
P (0.9623, 0.3412, 0.5832)
P (0.9905, 0.7011, 0.7509)
P (0.2989, 0.0095, 0.2509)
P (0.6306, 0.9550, 0.4200)
P (0.0450, 0.3694, 0.9200)
P (0.6567, 0.6195, 0.5872)
P (0.6231, 0.6717, 0.9182)
P (0.3805, 0.3433, 0.0872)
P (0.7089, 0.7027, 0.2516)
Na (0.9705, 0.6726, 0.9177)
Na (0.6659, 0.3273, 0.8284)
Na (0.0382, 0.6999, 0.5795)
Na (0.9698, 0.2999, 0.4115)
Na (0.0037, 0.9968, 0.4948)
Na (0.3492, 0.6733, 0.1613)
Na (0.3267, 0.6508, 0.6613)
Na (0.7001, 0.0302, 0.9115)
Na (0.3746, 0.0076, 0.7471)
Na (0.0379, 0.3431, 0.0836)
Na (0.6569, 0.9621, 0.5836)
Na (0.3001, 0.9618, 0.0795)
Na (0.0032, 0.9963, 0.9948)
Na (0.6727, 0.3341, 0.3284)
Na (0.6372, 0.6360, 0.7464)
Na (0.3640, 0.3628, 0.2464)
Na (0.9924, 0.6254, 0.2471)
Na (0.3274, 0.0295, 0.4177)
Si (0.7158, 0.0108, 0.7521)
Si (0.3744, 0.0341, 0.5836)
Si (0.9892, 0.2842, 0.2521)
Si (0.3238, 0.9606, 0.9167)
Si (0.9659, 0.6256, 0.0836)
Si (0.0394, 0.6762, 0.4167)
Ga (0.3272, 0.6689, 0.0167)
Ga (0.9889, 0.9907, 0.3506)
Ga (0.0093, 0.0111, 0.8506)
Ga (0.3311, 0.6728, 0.5167)
Ga (0.6703, 0.3218, 0.6838)
Ga (0.6782, 0.3297, 0.1838)

---

(5)
VASP calculation (PBE) on KIO2 after structural relaxation.

Computed properties:
**E**: -15.47 eV per formula unit
**Relative energy among the computed polymorphs**: 0 meV/atom
**Magnetization**: 0.0 μB/f.u.
**Formation energy**: -1.078 eV per atom
**Energy with MP2020 corrections**: -4.21 eV/atom
**Space-group type**: P4/mmm

Cell lengths 4.2956, 4.2956, 4.1295 Å; angles 90.00, 90.00, 90.00 degrees
Fractional positions:
O (0.5000, 0.0000, 0.0000)
O (0.0000, 0.5000, 0.0000)
I (0.0000, 0.0000, 0.0000)
K (0.5000, 0.5000, 0.5000)

---

(6)
VASP calculation (PBE) on Dy2GaCu3 after structural relaxation.

Computed properties:
**E**: -26.79 eV per formula unit
**Formation energy**: -0.375 eV per atom
**Space-group type**: Cm

Cell lengths 5.4017, 5.4017, 6.9072 Å; angles 52.23, 52.23, 47.10 degrees
Fractional positions:
Dy (0.5419, 0.5419, 0.2062)
Dy (0.4588, 0.4588, 0.7942)
Ga (0.8321, 0.8321, 0.6134)
Cu (0.1662, 0.1662, 0.7847)
Cu (0.1644, 0.1644, 0.3865)
Cu (0.8367, 0.8367, 0.2150)

---

(7)
VASP calculation (PBE) on BaSrNdNbO6 after structural relaxation.

Computed properties:
**E**: -77.21 eV per formula unit
**Relative energy among the computed polymorphs**: 55 meV/atom
**Magnetization**: 0.0 μB/f.u.
**Formation energy**: -3.317 eV per atom
**Energy with MP2020 corrections**: -8.13 eV/atom
**Space-group type**: F-43m

Cell lengths 6.1274, 6.1274, 6.1274 Å; angles 60.00, 60.00, 60.00 degrees
Fractional positions:
O (0.7673, 0.2327, 0.7673)
O (0.7673, 0.7673, 0.2327)
O (0.2327, 0.7673, 0.2327)
O (0.2327, 0.2327, 0.7673)
O (0.7673, 0.2327, 0.2327)
O (0.2327, 0.7673, 0.7673)
Nd (0.5000, 0.5000, 0.5000)
Sr (0.2500, 0.2500, 0.2500)
Ba (0.7500, 0.7500, 0.7500)
Nb (0.0000, 0.0000, 0.0000)

---

(8)
VASP calculation (PBE) on Cr3Pb3N5 after structural relaxation.

Computed properties:
**E**: -81.39 eV per formula unit
**Magnetization**: 0.0 μB/f.u.
**Formation energy**: -0.128 eV per atom
**Energy with MP2020 corrections**: -7.56 eV/atom
**Space-group type**: P-1

Cell lengths 5.7862, 7.4837, 8.4138 Å; angles 104.21, 99.20, 96.96 degrees
Fractional positions:
N (0.6506, 0.0508, 0.3943)
N (0.1177, 0.8084, 0.8806)
N (0.2242, 0.4745, 0.0339)
N (0.0677, 0.8571, 0.2247)
N (0.7758, 0.5255, 0.9661)
N (0.3494, 0.9492, 0.6057)
N (0.8258, 0.7958, 0.5712)
N (0.8823, 0.1916, 0.1194)
N (0.9323, 0.1429, 0.7753)
N (0.1742, 0.2042, 0.4288)
Cr (0.0663, 0.6769, 0.0271)
Cr (0.3144, 0.0010, 0.3971)
Cr (0.9132, 0.0721, 0.2778)
Cr (0.6856, 0.9990, 0.6029)
Cr (0.9337, 0.3231, 0.9729)
Cr (0.0868, 0.9279, 0.7222)
Pb (0.3815, 0.3299, 0.7719)
Pb (0.4315, 0.1970, 0.1341)
Pb (0.5685, 0.8030, 0.8659)
Pb (0.6185, 0.6701, 0.2281)
Pb (0.2400, 0.5528, 0.4597)
Pb (0.7600, 0.4472, 0.5403)

---

(9)
VASP calculation (PBE) on Dy2ZnTe2S2O14 after structural relaxation.

Computed properties:
**E**: -134.61 eV per formula unit
**Magnetization**: 0.0 μB/f.u.
**Formation energy**: -2.377 eV per atom
**Energy with MP2020 corrections**: -6.87 eV/atom
**Space-group type**: P-1

Cell lengths 5.2886, 7.9208, 8.1862 Å; angles 116.10, 106.55, 85.37 degrees
Fractional positions:
O (0.5285, 0.7319, 0.7827)
O (0.7518, 0.4396, 0.8955)
O (0.2482, 0.5604, 0.1045)
O (0.7511, 0.0767, 0.6680)
O (0.1307, 0.7695, 0.5701)
O (0.2489, 0.9233, 0.3320)
O (0.1103, 0.5920, 0.7476)
O (0.4715, 0.2681, 0.2173)
O (0.7249, 0.8051, 0.2476)
O (0.8221, 0.0763, 0.0878)
O (0.8897, 0.4080, 0.2524)
O (0.2751, 0.1949, 0.7524)
O (0.1779, 0.9237, 0.9122)
O (0.8693, 0.2305, 0.4299)
Dy (0.9186, 0.7468, 0.0154)
Dy (0.0814, 0.2532, 0.9846)
Te (0.5158, 0.2729, 0.6627)
Te (0.4842, 0.7271, 0.3373)
S (0.7609, 0.2462, 0.2497)
S (0.2391, 0.7538, 0.7503)
Zn (0.0000, 0.0000, 0.5000)

---

(10)
VASP calculation (PBE) on Sr2TiP2O9 after structural relaxation.

Computed properties:
**E**: -106.43 eV per formula unit
**Magnetization**: 0.0 μB/f.u.
**Formation energy**: -3.284 eV per atom
**Energy with MP2020 corrections**: -8.04 eV/atom
**Space-group type**: Cc

Cell lengths 6.8540, 7.1303, 8.8282 Å; angles 76.40, 77.72, 115.75 degrees
Fractional positions:
P (0.1727, 0.4223, 0.1544)
P (0.5868, 0.8367, 0.3258)
P (0.4127, 0.1625, 0.6742)
P (0.8272, 0.5767, 0.8456)
O (0.2088, 0.2447, 0.2712)
O (0.0201, 0.4827, 0.2726)
O (0.6534, 0.3776, 0.5543)
O (0.9560, 0.2090, 0.5868)
O (0.7078, 0.9319, 0.4457)
O (0.4019, 0.6404, 0.0475)
O (0.7926, 0.7553, 0.7274)
O (0.5419, 0.0037, 0.2146)
O (0.2939, 0.0675, 0.5540)
O (0.7435, 0.7818, 0.2140)
O (0.0504, 0.3121, 0.0473)
O (0.4575, 0.9958, 0.7860)
O (0.9494, 0.6880, 0.9525)
O (0.5976, 0.3593, 0.9527)
O (0.0428, 0.7958, 0.4132)
O (0.3479, 0.6215, 0.4460)
O (0.2565, 0.2183, 0.7854)
O (0.9800, 0.5159, 0.7288)
Sr (0.7933, 0.0426, 0.9138)
Sr (0.3745, 0.6245, 0.7521)
Sr (0.2070, 0.9564, 0.0862)
Sr (0.6266, 0.3766, 0.2479)
Ti (0.9962, 0.4779, 0.5062)
Ti (0.0024, 0.9840, 0.4938)

---

(11)
VASP calculation (PBE) on LiCe2HO3 after structural relaxation.

Computed properties:
**E**: -49.37 eV per formula unit
**Magnetization**: 1.8 μB/f.u.
**Formation energy**: -2.774 eV per atom
**Energy with MP2020 corrections**: -7.35 eV/atom
**Space-group type**: Immm

Cell lengths 6.7807, 6.7807, 6.7807 Å; angles 150.09, 147.89, 44.45 degrees
Fractional positions:
Li (0.0000, 0.0000, 0.0000)
Ce (0.6382, 0.6382, 0.0000)
Ce (0.3618, 0.3618, 0.0000)
O (0.5000, 0.0000, 0.5000)
O (0.1769, 0.1769, 0.0000)
O (0.8231, 0.8231, 0.0000)
H (0.0000, 0.5000, 0.5000)

---

(12)
VASP calculation (PBE) on Ce2Al9Rh3 after structural relaxation.

Computed properties:
**E**: -78.74 eV per formula unit
**Formation energy**: -0.791 eV per atom
**Space-group type**: Cmcm

Cell lengths 7.6359, 7.6359, 9.5062 Å; angles 90.00, 90.00, 119.40 degrees
Fractional positions:
Rh (0.6714, 0.3286, 0.0000)
Rh (0.3286, 0.6714, 0.5000)
Rh (0.3286, 0.6714, 0.0000)
Rh (0.0000, 0.0000, 0.0000)
Rh (0.6714, 0.3286, 0.5000)
Rh (0.0000, 0.0000, 0.5000)
Al (0.3338, 0.3338, 0.5467)
Al (0.5493, 0.3412, 0.2500)
Al (0.9980, 0.6644, 0.9258)
Al (0.1306, 0.1306, 0.2500)
Al (0.3412, 0.5493, 0.2500)
Al (0.6588, 0.4507, 0.7500)
Al (0.9980, 0.6644, 0.5742)
Al (0.8694, 0.8694, 0.7500)
Al (0.3338, 0.3338, 0.9533)
Al (0.3356, 0.0020, 0.4258)
Al (0.0020, 0.3356, 0.4258)
Al (0.6662, 0.6662, 0.0467)
Al (0.3356, 0.0020, 0.0742)
Al (0.0020, 0.3356, 0.0742)
Al (0.6644, 0.9980, 0.9258)
Al (0.4507, 0.6588, 0.7500)
Al (0.6662, 0.6662, 0.4533)
Al (0.6644, 0.9980, 0.5742)
Ce (0.0048, 0.3285, 0.7500)
Ce (0.9952, 0.6715, 0.2500)
Ce (0.3285, 0.0048, 0.7500)
Ce (0.6715, 0.9952, 0.2500)

---

E of number 8 (Cr3Pb3N5)? -81.39 eV per formula unit